# 1
Density functional theory data (PBE with a Hubbard U) for an optimized crystal structure of Bi2W2O9.

The total energy is -6.8874 eV/atom. The calculation puts the formation enthalpy at 0 K at -2028 meV/atom.

Cell and atoms, written as CIF:
```
data_Bi2W2O9
_space_group_name_H-M_alt 'P 1'
_space_group_IT_number 1
_space_group_name_Hall 'P 1'
_cell_length_a 5.4500
_cell_length_b 5.4785
_cell_length_c 24.5947
_cell_angle_alpha 90.00
_cell_angle_beta 90.00
_cell_angle_gamma 90.00
loop_
_atom_site_label
_atom_site_type_symbol
_atom_site_fract_x
_atom_site_fract_y
_atom_site_fract_z
O1 O 0.3224 0.2234 0.6520
W1 W 0.7514 0.6941 0.5766
O2 O 0.9695 0.9993 0.5884
O3 O 0.4695 0.9993 0.9116
O4 O 0.9649 0.5608 0.0657
W2 W 0.7514 0.8059 0.4234
W3 W 0.2514 0.8059 0.0766
Bi1 Bi 0.7720 0.8683 0.1974
O5 O 0.9695 0.5007 0.4116
Bi2 Bi 0.7720 0.6317 0.8026
Bi3 Bi 0.2720 0.6317 0.6974
O6 O 0.0084 0.0948 0.2508
O7 O 0.5084 0.0948 0.2492
O8 O 0.5084 0.4052 0.7508
W4 W 0.2486 0.1941 0.5766
O9 O 0.0084 0.4052 0.7492
O10 O 0.5351 0.4392 0.5657
O11 O 0.4695 0.5007 0.0884
O12 O 0.1869 0.2500 0.5000
Bi4 Bi 0.2720 0.8683 0.3026
Bi5 Bi 0.7280 0.3683 0.3026
O13 O 0.5351 0.0608 0.4343
O14 O 0.0305 0.0007 0.4116
O15 O 0.5305 0.0007 0.0884
O16 O 0.3131 0.7500 0.0000
O17 O 0.6776 0.7766 0.3480
O18 O 0.1776 0.7766 0.1520
O19 O 0.4649 0.9392 0.5657
O20 O 0.4649 0.5608 0.4343
O21 O 0.6776 0.7234 0.6520
O22 O 0.0351 0.0608 0.0657
O23 O 0.5305 0.4993 0.9116
O24 O 0.0351 0.4392 0.9343
W5 W 0.2514 0.6941 0.9234
Bi6 Bi 0.2280 0.3683 0.1974
O25 O 0.9916 0.5948 0.2508
O26 O 0.4916 0.5948 0.2492
O27 O 0.1776 0.7234 0.8480
O28 O 0.9916 0.9052 0.7492
W6 W 0.2486 0.3059 0.4234
O29 O 0.8224 0.2766 0.1520
W7 W 0.7486 0.3059 0.0766
O30 O 0.8131 0.7500 0.5000
Bi7 Bi 0.7280 0.1317 0.6974
O31 O 0.0305 0.4993 0.5884
O32 O 0.3224 0.2766 0.3480
O33 O 0.4916 0.9052 0.7508
O34 O 0.8224 0.2234 0.8480
W8 W 0.7486 0.1941 0.9234
Bi8 Bi 0.2280 0.1317 0.8026
O35 O 0.9649 0.9392 0.9343
O36 O 0.6869 0.2500 0.0000
```


# 2
Density functional theory data (PBE with a Hubbard U) for an optimized crystal structure of LiMnO2.

The piezoelectric modulus e_max is 2.51 C/m2. The total energy is -6.6056 eV/atom. The calculation puts the formation enthalpy at 0 K at -2124 meV/atom.

Cell and atoms, written as CIF:
```
data_LiMnO2
_space_group_name_H-M_alt 'P 1'
_space_group_IT_number 1
_space_group_name_Hall 'P 1'
_cell_length_a 3.1320
_cell_length_b 10.1790
_cell_length_c 4.9742
_cell_angle_alpha 90.00
_cell_angle_beta 90.00
_cell_angle_gamma 99.44
loop_
_atom_site_label
_atom_site_type_symbol
_atom_site_fract_x
_atom_site_fract_y
_atom_site_fract_z
O1 O 0.9568 0.6132 0.0227
Li1 Li 0.1167 0.2422 0.6531
O2 O 0.4567 0.1131 0.4773
Li2 Li 0.1166 0.7422 0.3469
O3 O 0.4569 0.6132 0.5227
O4 O 0.4674 0.8867 0.1130
Mn1 Mn 0.9589 0.9989 0.2949
Mn2 Mn 0.4591 0.4990 0.2053
O5 O 0.9675 0.3868 0.3870
Mn3 Mn 0.4589 0.9989 0.7947
Mn4 Mn 0.9592 0.4991 0.7051
O6 O 0.4676 0.3868 0.8870
O7 O 0.9567 0.1131 0.9773
Li3 Li 0.6166 0.7421 0.8470
O8 O 0.9673 0.8867 0.6130
Li4 Li 0.6167 0.2422 0.1530
```


Question: Look up the formation enthalpy at 0 K of the first one.
Answer: -2028 meV/atom